Entry 1:
A geometry-optimized Na3MgMoO3F3 structure. Source: the Materials Project database, functional PBE with a Hubbard U.

Calculated values
For the spin magnetization, the calculation gives 2.00 μB/f.u. The energy of formation comes out at -245.4 kJ per mole of atoms. The value obtained for the energy is -58.3 eV/cell.

Cell and atoms, written as CIF:
```
data_Na3MgMoO3F3
_chemical_formula_sum 'Na3 Mg1 Mo1 O3 F3'
_cell_length_a 5.548
_cell_length_b 5.560
_cell_length_c 6.325
_cell_angle_alpha 91.78
_cell_angle_beta 113.86
_cell_angle_gamma 119.16
_space_group_name_H-M_alt 'P 1'
_space_group_IT_number 1
_space_group_name_Hall 'P 1'
loop_
_atom_site_label
_atom_site_type_symbol
_atom_site_fract_x
_atom_site_fract_y
_atom_site_fract_z
Na1 Na 0.000 0.000 0.000
Na2 Na 0.066 0.533 0.615
Na3 Na 0.359 0.174 0.543
Mg1 Mg 0.730 0.353 0.096
Mo1 Mo 0.484 0.734 0.211
O1 O 0.186 0.738 0.279
O2 O 0.581 0.457 0.315
O3 O 0.861 0.108 0.298
F1 F 0.309 0.983 0.869
F2 F 0.534 0.581 0.904
F3 F 0.862 0.307 0.852
```



Entry 2:
A geometry-optimized Na2MgV2O4F4 structure. Source: the Materials Project database, functional PBE with a Hubbard U.

Calculated values
For the spin magnetization, the calculation gives 2.00 μB/f.u. The energy of formation comes out at -271.4 kJ per mole of atoms. The value obtained for the energy is -78.4 eV/cell.

Cell and atoms, written as CIF:
```
data_Na2MgV2O4F4
_chemical_formula_sum 'Na2 Mg1 V2 O4 F4'
_cell_length_a 3.827
_cell_length_b 6.697
_cell_length_c 6.917
_cell_angle_alpha 73.88
_cell_angle_beta 89.99
_cell_angle_gamma 89.90
_space_group_name_H-M_alt 'P 1'
_space_group_IT_number 1
_space_group_name_Hall 'P 1'
loop_
_atom_site_label
_atom_site_type_symbol
_atom_site_fract_x
_atom_site_fract_y
_atom_site_fract_z
Na1 Na 0.000 0.000 0.000
Na2 Na 0.495 0.184 0.591
Mg1 Mg 0.997 0.527 0.257
V1 V 0.498 0.498 0.961
V2 V 0.997 0.698 0.609
O1 O 0.498 0.401 0.233
O2 O 0.498 0.650 0.678
O3 O 0.998 0.535 0.936
O4 O 0.998 0.788 0.354
F1 F 0.499 0.221 0.916
F2 F 0.499 0.779 0.021
F3 F 0.995 0.967 0.663
F4 F 0.997 0.404 0.556
```



Entry 3:
A geometry-optimized Na2MgV2O4F4 structure. Source: the Materials Project database, functional PBE with a Hubbard U.

Calculated values
For the spin magnetization, the calculation gives 2.00 μB/f.u. The energy of formation comes out at -271.0 kJ per mole of atoms. The value obtained for the energy is -78.4 eV/cell.

Cell and atoms, written as CIF:
```
data_Na2MgV2O4F4
_chemical_formula_sum 'Na2 Mg1 V2 O4 F4'
_cell_length_a 6.751
_cell_length_b 3.880
_cell_length_c 7.076
_cell_angle_alpha 90.00
_cell_angle_beta 116.67
_cell_angle_gamma 90.00
_space_group_name_H-M_alt 'P 1 m 1'
_space_group_IT_number 6
_space_group_name_Hall 'P -2y'
loop_
_atom_site_label
_atom_site_type_symbol
_atom_site_fract_x
_atom_site_fract_y
_atom_site_fract_z
Na1 Na 0.000 0.000 0.000
Na2 Na 0.071 0.500 0.382
Mg1 Mg 0.647 0.500 0.680
V1 V 0.431 0.500 0.972
V2 V 0.591 0.000 0.346
O1 O 0.367 0.500 0.711
O2 O 0.458 0.000 0.042
O3 O 0.573 0.500 0.313
O4 O 0.704 0.000 0.635
F1 F 0.126 0.500 0.927
F2 F 0.284 0.000 0.323
F3 F 0.764 0.500 0.999
F4 F 0.888 0.000 0.365
```



Entry 4:
A geometry-optimized Na2MgVF7 structure. Source: the Materials Project database, functional PBE with a Hubbard U.

Calculated values
For the spin magnetization, the calculation gives 2.00 μB/f.u. The energy of formation comes out at -321.7 kJ per mole of atoms. The value obtained for the energy is -233.9 eV/cell.

Cell and atoms, written as CIF:
```
data_Na2MgVF7
_chemical_formula_sum 'Na8 Mg4 V4 F28'
_cell_length_a 7.321
_cell_length_b 10.451
_cell_length_c 7.558
_cell_angle_alpha 90.00
_cell_angle_beta 90.00
_cell_angle_gamma 90.00
_space_group_name_H-M_alt 'I m m a'
_space_group_IT_number 74
_space_group_name_Hall '-I 2b 2'
loop_
_atom_site_label
_atom_site_type_symbol
_atom_site_fract_x
_atom_site_fract_y
_atom_site_fract_z
Na1 Na 0.000 0.000 0.000
Na2 Na 0.250 0.250 0.250
Mg1 Mg 0.250 0.250 0.750
V1 V 0.000 0.000 0.500
F1 F 0.000 0.093 0.270
F2 F 0.000 0.250 0.840
F3 F 0.199 0.117 0.566
```



Entry 5:
A geometry-optimized MgNiF5 structure. Source: the Materials Project database, functional PBE with a Hubbard U.

Calculated values
For the spin magnetization, the calculation gives 3.00 μB/f.u. The energy of formation comes out at -256.6 kJ per mole of atoms. The value obtained for the energy is -122.9 eV/cell.

Cell and atoms, written as CIF:
```
data_MgNiF5
_chemical_formula_sum 'Mg4 Ni4 F20'
_cell_length_a 5.061
_cell_length_b 9.547
_cell_length_c 7.356
_cell_angle_alpha 90.00
_cell_angle_beta 110.60
_cell_angle_gamma 90.00
_space_group_name_H-M_alt 'P 1 21/c 1'
_space_group_IT_number 14
_space_group_name_Hall '-P 2ybc'
loop_
_atom_site_label
_atom_site_type_symbol
_atom_site_fract_x
_atom_site_fract_y
_atom_site_fract_z
Mg1 Mg 0.030 0.014 0.252
Ni1 Ni 0.388 0.248 0.602
F1 F 0.086 0.117 0.572
F2 F 0.132 0.108 0.988
F3 F 0.309 0.631 0.362
F4 F 0.333 0.175 0.338
F5 F 0.367 0.604 0.786
```



Entry 6:
A geometry-optimized MgNiF4 structure. Source: the Materials Project database, functional PBE with a Hubbard U.

Calculated values
For the spin magnetization, the calculation gives 2.00 μB/f.u. The energy of formation comes out at -280.8 kJ per mole of atoms. The value obtained for the energy is -112.5 eV/cell.

Cell and atoms, written as CIF:
```
data_MgNiF4
_chemical_formula_sum 'Mg4 Ni4 F16'
_cell_length_a 5.055
_cell_length_b 5.055
_cell_length_c 10.069
_cell_angle_alpha 90.00
_cell_angle_beta 90.00
_cell_angle_gamma 90.00
_space_group_name_H-M_alt 'I 4/m c m'
_space_group_IT_number 140
_space_group_name_Hall '-I 4 2c'
loop_
_atom_site_label
_atom_site_type_symbol
_atom_site_fract_x
_atom_site_fract_y
_atom_site_fract_z
Mg1 Mg 0.000 0.000 0.250
Ni1 Ni 0.000 0.500 0.000
F1 F 0.203 0.297 0.133
```



Entry 7:
A geometry-optimized MgNiF5 structure. Source: the Materials Project database, functional PBE with a Hubbard U.

Calculated values
For the spin magnetization, the calculation gives 3.00 μB/f.u. The energy of formation comes out at -257.0 kJ per mole of atoms. The value obtained for the energy is -123.0 eV/cell.

Cell and atoms, written as CIF:
```
data_MgNiF5
_chemical_formula_sum 'Mg4 Ni4 F20'
_cell_length_a 8.467
_cell_length_b 6.017
_cell_length_c 7.451
_cell_angle_alpha 90.00
_cell_angle_beta 116.38
_cell_angle_gamma 90.00
_space_group_name_H-M_alt 'C 1 2/c 1'
_space_group_IT_number 15
_space_group_name_Hall '-C 2yc'
loop_
_atom_site_label
_atom_site_type_symbol
_atom_site_fract_x
_atom_site_fract_y
_atom_site_fract_z
Mg1 Mg 0.000 0.037 0.250
Ni1 Ni 0.000 0.500 0.000
F1 F 0.000 0.377 0.250
F2 F 0.012 0.196 0.952
F3 F 0.237 0.477 0.625
```



Entry 8:
A geometry-optimized Rb2MgNi2W2O6F6 structure. Source: the Materials Project database, functional PBE with a Hubbard U.

Calculated values
For the spin magnetization, the calculation gives 6.00 μB/f.u. The energy of formation comes out at -224.0 kJ per mole of atoms. The value obtained for the energy is -105.5 eV/cell.

Cell and atoms, written as CIF:
```
data_Rb2MgNi2W2O6F6
_chemical_formula_sum 'Rb2 Mg1 Ni2 W2 O6 F6'
_cell_length_a 7.243
_cell_length_b 7.440
_cell_length_c 7.571
_cell_angle_alpha 62.67
_cell_angle_beta 64.62
_cell_angle_gamma 89.52
_space_group_name_H-M_alt 'P 1'
_space_group_IT_number 1
_space_group_name_Hall 'P 1'
loop_
_atom_site_label
_atom_site_type_symbol
_atom_site_fract_x
_atom_site_fract_y
_atom_site_fract_z
Rb1 Rb 0.000 0.000 0.000
Rb2 Rb 0.270 0.617 0.507
Mg1 Mg 0.459 0.188 0.072
Ni1 Ni 0.230 0.542 0.044
Ni2 Ni 0.675 0.933 0.602
W1 W 0.730 0.453 0.552
W2 W 0.733 0.470 0.058
O1 O 0.017 0.481 0.978
O2 O 0.436 0.429 0.128
O3 O 0.675 0.553 0.284
O4 O 0.697 0.712 0.534
O5 O 0.744 0.190 0.584
O6 O 0.763 0.353 0.843
F1 F 0.045 0.575 0.311
F2 F 0.220 0.978 0.252
F3 F 0.364 0.837 0.816
F4 F 0.411 0.324 0.800
F5 F 0.634 0.143 0.280
F6 F 0.787 0.779 0.835
```



Entry 9:
A geometry-optimized RbMgNiF6 structure. Source: the Materials Project database, functional PBE with a Hubbard U.

Calculated values
For the spin magnetization, the calculation gives 3.00 μB/f.u. The energy of formation comes out at -273.6 kJ per mole of atoms. The value obtained for the energy is -160.2 eV/cell.

Cell and atoms, written as CIF:
```
data_RbMgNiF6
_chemical_formula_sum 'Rb4 Mg4 Ni4 F24'
_cell_length_a 7.233
_cell_length_b 7.372
_cell_length_c 10.288
_cell_angle_alpha 90.00
_cell_angle_beta 90.00
_cell_angle_gamma 90.00
_space_group_name_H-M_alt 'I m m a'
_space_group_IT_number 74
_space_group_name_Hall '-I 2b 2'
loop_
_atom_site_label
_atom_site_type_symbol
_atom_site_fract_x
_atom_site_fract_y
_atom_site_fract_z
Rb1 Rb 0.000 0.250 0.122
Mg1 Mg 0.250 0.250 0.750
Ni1 Ni 0.000 0.000 0.500
F1 F 0.000 0.250 0.430
F2 F 0.000 0.250 0.822
F3 F 0.188 0.051 0.622
```



Entry 10:
A geometry-optimized MgV2Te2O7F2 structure. Source: the Materials Project database, functional PBE with a Hubbard U.

Calculated values
For the spin magnetization, the calculation gives 4.00 μB/f.u. The energy of formation comes out at -212.6 kJ per mole of atoms. The value obtained for the energy is -86.2 eV/cell.

Cell and atoms, written as CIF:
```
data_MgV2Te2O7F2
_chemical_formula_sum 'Mg1 V2 Te2 O7 F2'
_cell_length_a 4.985
_cell_length_b 5.360
_cell_length_c 7.612
_cell_angle_alpha 102.34
_cell_angle_beta 90.55
_cell_angle_gamma 105.01
_space_group_name_H-M_alt 'P -1'
_space_group_IT_number 2
_space_group_name_Hall '-P 1'
loop_
_atom_site_label
_atom_site_type_symbol
_atom_site_fract_x
_atom_site_fract_y
_atom_site_fract_z
Mg1 Mg 0.000 0.000 0.000
V1 V 0.273 0.623 0.131
Te1 Te 0.339 0.709 0.648
O1 O 0.000 0.500 0.500
O2 O 0.112 0.650 0.868
O3 O 0.249 0.968 0.209
O4 O 0.498 0.421 0.655
F1 F 0.339 0.272 0.965
```



Entry 11:
A geometry-optimized MgV2Te2O7F2 structure. Source: the Materials Project database, functional PBE with a Hubbard U.

Calculated values
For the spin magnetization, the calculation gives 4.00 μB/f.u. The energy of formation comes out at -210.8 kJ per mole of atoms. The value obtained for the energy is -86.0 eV/cell.

Cell and atoms, written as CIF:
```
data_MgV2Te2O7F2
_chemical_formula_sum 'Mg1 V2 Te2 O7 F2'
_cell_length_a 5.167
_cell_length_b 5.225
_cell_length_c 7.784
_cell_angle_alpha 104.00
_cell_angle_beta 94.64
_cell_angle_gamma 99.96
_space_group_name_H-M_alt 'P -1'
_space_group_IT_number 2
_space_group_name_Hall '-P 1'
loop_
_atom_site_label
_atom_site_type_symbol
_atom_site_fract_x
_atom_site_fract_y
_atom_site_fract_z
Mg1 Mg 0.000 0.000 0.000
V1 V 0.232 0.992 0.372
Te1 Te 0.336 0.502 0.773
O1 O 0.052 0.224 0.827
O2 O 0.321 0.191 0.201
O3 O 0.486 0.234 0.617
O4 O 0.500 0.500 0.000
F1 F 0.027 0.779 0.529
```



Entry 12:
A geometry-optimized MgV2Te2O7F2 structure. Source: the Materials Project database, functional PBE with a Hubbard U.

Calculated values
For the spin magnetization, the calculation gives 4.00 μB/f.u. The energy of formation comes out at -211.9 kJ per mole of atoms. The value obtained for the energy is -86.1 eV/cell.

Cell and atoms, written as CIF:
```
data_MgV2Te2O7F2
_chemical_formula_sum 'Mg1 V2 Te2 O7 F2'
_cell_length_a 5.001
_cell_length_b 5.631
_cell_length_c 7.391
_cell_angle_alpha 71.46
_cell_angle_beta 85.79
_cell_angle_gamma 79.06
_space_group_name_H-M_alt 'P 1'
_space_group_IT_number 1
_space_group_name_Hall 'P 1'
loop_
_atom_site_label
_atom_site_type_symbol
_atom_site_fract_x
_atom_site_fract_y
_atom_site_fract_z
Mg1 Mg 0.000 0.000 0.000
V1 V 0.504 0.942 0.345
V2 V 0.960 0.943 0.618
Te1 Te 0.497 0.472 0.791
Te2 Te 0.971 0.426 0.203
O1 O 0.201 0.737 0.868
O2 O 0.243 0.134 0.132
O3 O 0.679 0.734 0.613
O4 O 0.742 0.784 0.184
O5 O 0.756 0.400 0.997
O6 O 0.762 0.184 0.367
O7 O 0.802 0.162 0.757
F1 F 0.213 0.712 0.469
F2 F 0.259 0.141 0.506
```